An optimized crystal structure of La4Ti3S4O8. Source: the Materials Project database, functional PBE-GGA.

Values from the calculation:
The calculation puts the energy with MP2020 corrections at -8.504 eV per atom. As for the total magnetization: 0.00 μB/atom. The calculation puts the formation enthalpy at 0 K at -62.018 eV/f.u.

Lattice parameters (Å, degrees): 9.5249 9.5249 18.0229 70.38 70.38 23.60
Closest atoms and distances in Å follow each position.
Positions (direct):
La: 0.2026 0.2026 0.4290  5 O 2.50-2.79
La: 0.6903 0.6874 0.8231  4 O 2.52-2.80
La: 0.5503 0.5501 0.3156  5 O 2.50-2.66
La: 0.6268 0.6421 0.0626  4 O 2.54-2.69
La: 0.3126 0.3097 0.1769  4 O 2.52-2.80
La: 0.3579 0.3732 0.9374  4 O 2.54-2.69
La: 0.4499 0.4497 0.6844  5 O 2.50-2.66
La: 0.7974 0.7974 0.5710  5 O 2.50-2.79
O: 0.0419 0.0446 0.6929  2 Ti 1.89-2.01
O: 0.9472 0.9676 0.9244  2 Ti 1.92-1.93
O: 0.5020 0.5110 0.1906  2 Ti 1.93-2.02
O: 0.6650 0.6648 0.6782  2 Ti 1.98
O: 0.6012 0.5476 0.9484  1 Ti 1.78
O: 0.9327 0.9326 0.6049  1 Ti 1.88
O: 0.0674 0.0673 0.3951  1 Ti 1.88
O: 0.9554 0.9581 0.3071  2 Ti 1.89-2.01
O: 0.4524 0.3988 0.0516  1 Ti 1.78
O: 0.4890 0.4980 0.8094  2 Ti 1.93-2.02
O: 0.1151 0.1130 0.7975  1 Ti 1.87
O: 0.3352 0.3350 0.3218  2 Ti 1.98
O: 0.7847 0.7845 0.4351  1 Ti 1.88
O: 0.2155 0.2153 0.5649  1 Ti 1.88
O: 0.8870 0.8849 0.2025  1 Ti 1.87
O: 0.0324 0.0528 0.0756  2 Ti 1.92-1.93
S: 0.2146 0.2084 0.9358  5 La 2.88-3.00, 2 O 3.10-3.22
S: 0.8653 0.8676 0.8095  1 Ti 2.69, 3 La 2.98-3.00
S: 0.4229 0.4229 0.4717  2 Ti 2.57
S: 0.5771 0.5771 0.5283  2 Ti 2.57
S: 0.7166 0.7167 0.3018  1 Ti 2.69, 2 La 2.95
S: 0.2833 0.2834 0.6982  1 Ti 2.69, 2 La 2.95
S: 0.7916 0.7854 0.0642  5 La 2.88-3.00, 2 O 3.10-3.22
S: 0.1324 0.1347 0.1905  1 Ti 2.69, 3 La 2.98-3.00
Ti: 0.1499 0.1503 0.6712  4 O 1.88-1.98
Ti: 0.9962 0.9836 0.1885  5 O 1.87-2.02
Ti: 0.8164 0.1836 0.0000  4 O 1.78-1.92
Ti: 0.0164 0.0038 0.8115  5 O 1.87-2.02
Ti: 0.0001 0.9999 0.5000  2 O 1.88
Ti: 0.8497 0.8501 0.3288  4 O 1.88-1.98

***

An optimized crystal structure of La20Ti11S44O6. Source: the Materials Project database, functional PBE-GGA.

Values from the calculation:
The calculation puts the energy with MP2020 corrections at -7.299 eV per atom. As for the total magnetization: 0.00 μB/atom. The calculation puts the formation enthalpy at 0 K at -193.928 eV/f.u.

Lattice parameters (Å, degrees): 10.4903 14.4213 22.8137 90.00 90.00 90.00
Closest atoms and distances in Å follow each position.
Positions (direct):
La: 0.6362 0.9623 0.8359  1 O 2.52, 1 S 2.74
La: 0.3329 0.0552 0.5309  6 S 2.84-3.11
La: 0.0740 0.2500 0.0331  8 S 2.87-3.12, 1 O 3.18
La: 0.9507 0.4593 0.3395  1 O 2.54
La: 0.3873 0.7500 0.9658  6 S 2.72-3.04
La: 0.9507 0.4593 0.1605  1 O 2.54
La: 0.3638 0.0377 0.3359  1 O 2.52, 1 S 2.74
La: 0.6127 0.2500 0.0342  6 S 2.72-3.04
La: 0.6362 0.5377 0.6641  1 O 2.52, 1 S 2.74
La: 0.6362 0.5377 0.8359  1 O 2.52, 1 S 2.74
La: 0.0493 0.9593 0.6605  1 O 2.54
La: 0.3329 0.0552 0.9691  6 S 2.84-3.11
La: 0.9260 0.7500 0.5331  8 S 2.87-3.12, 1 O 3.18
La: 0.3638 0.0377 0.1641  1 O 2.52, 1 S 2.74
La: 0.6356 0.2500 0.6604  7 S 2.82-3.13
La: 0.6671 0.9448 0.0309  6 S 2.84-3.11
La: 0.6671 0.9448 0.4691  6 S 2.84-3.11
La: 0.6362 0.9623 0.6641  1 O 2.52, 1 S 2.74
La: 0.6127 0.2500 0.4658  6 S 2.72-3.04
La: 0.3873 0.7500 0.5342  6 S 2.72-3.04
La: 0.0493 0.5407 0.6605  1 O 2.54
La: 0.3329 0.4448 0.9691  6 S 2.84-3.11
La: 0.6671 0.5552 0.0309  6 S 2.84-3.11
La: 0.9527 0.7500 0.3412  7 S 2.85-3.08, 1 O 2.94
La: 0.0493 0.5407 0.8395  1 O 2.54
La: 0.9507 0.0407 0.1605  1 O 2.54
La: 0.3329 0.4448 0.5309  6 S 2.84-3.11
La: 0.6356 0.2500 0.8396  7 S 2.82-3.13
La: 0.3638 0.4623 0.3359  1 O 2.52, 1 S 2.74
La: 0.0740 0.2500 0.4669  8 S 2.87-3.12, 1 O 3.18
La: 0.9527 0.7500 0.1588  7 S 2.85-3.08, 1 O 2.94
La: 0.0473 0.2500 0.8412  7 S 2.85-3.08, 1 O 2.94
La: 0.3644 0.7500 0.3396  7 S 2.82-3.13
La: 0.6671 0.5552 0.4691  6 S 2.84-3.11
La: 0.0493 0.9593 0.8395  1 O 2.54
La: 0.3638 0.4623 0.1641  1 O 2.52, 1 S 2.74
La: 0.0473 0.2500 0.6588  7 S 2.85-3.08, 1 O 2.94
La: 0.9260 0.7500 0.9669  8 S 2.87-3.12, 1 O 3.18
La: 0.9507 0.0407 0.3395  1 O 2.54
La: 0.3644 0.7500 0.1604  7 S 2.82-3.13
S: 0.6110 0.3802 0.5688  1 Ti 2.45
S: 0.1059 0.3865 0.7500  1 Ti 2.42
S: 0.6658 0.9917 0.1706  2 Ti 2.38-2.55
S: 0.3387 0.7500 0.6819  4 Ti 2.59-2.68
S: 0.6613 0.2500 0.3181  4 Ti 2.59-2.68
S: 0.1612 0.0601 0.4253  1 Ti 2.59
S: 0.4320 0.8853 0.2500  1 Ti 2.45
S: 0.1535 0.0806 0.2500  1 Ti 2.44
S: 0.1605 0.8806 0.5436  1 Ti 2.41
S: 0.3890 0.8802 0.0688  1 Ti 2.45
S: 0.6803 0.7500 0.6686  2 Ti 2.35-2.51
S: 0.3197 0.2500 0.1686  2 Ti 2.35-2.51
S: 0.3387 0.7500 0.8181  4 Ti 2.59-2.68
S: 0.9984 0.7500 0.6659  2 Ti 2.44-2.53
S: 0.3890 0.6198 0.4312  1 Ti 2.45
S: 0.8395 0.3806 0.0436  1 Ti 2.41
S: 0.6611 0.7500 0.1732  2 Ti 2.43
S: 0.3342 0.0083 0.6706  2 Ti 2.38-2.55
S: 0.5017 0.9116 0.5661  4 La 2.72-2.85
S: 0.0782 0.3871 0.5701  1 Ti 2.46
S: 0.9218 0.6129 0.4299  1 Ti 2.46
S: 0.3298 0.2500 0.9883  4 La 2.84-3.15
S: 0.3890 0.8802 0.4312  1 Ti 2.45
S: 0.3389 0.2500 0.8268  2 Ti 2.43
S: 0.6658 0.9917 0.3294  2 Ti 2.38-2.55
S: 0.6110 0.3802 0.9312  1 Ti 2.45
S: 0.0782 0.3871 0.9299  1 Ti 2.46
S: 0.6702 0.7500 0.4883  4 La 2.84-3.15
S: 0.6658 0.5083 0.1706  2 Ti 2.38-2.55
S: 0.9984 0.7500 0.8341  2 Ti 2.44-2.53
S: 0.1059 0.1135 0.7500  1 Ti 2.42
S: 0.8395 0.1194 0.4564  1 Ti 2.41
S: 0.0782 0.1129 0.5701  1 Ti 2.46
S: 0.5017 0.5884 0.5661  4 La 2.72-2.85
S: 0.3342 0.0083 0.8294  2 Ti 2.38-2.55
S: 0.1605 0.6194 0.9564  1 Ti 2.41
S: 0.4983 0.0884 0.0661  4 La 2.72-2.85
S: 0.6803 0.7500 0.8314  2 Ti 2.35-2.51
S: 0.0782 0.1129 0.9299  1 Ti 2.46
S: 0.5017 0.5884 0.9339  4 La 2.72-2.85
S: 0.8941 0.8865 0.2500  1 Ti 2.42
S: 0.3342 0.4917 0.8294  2 Ti 2.38-2.55
S: 0.8941 0.6135 0.2500  1 Ti 2.42
S: 0.5017 0.9116 0.9339  4 La 2.72-2.85
S: 0.0016 0.2500 0.3341  2 Ti 2.44-2.53
S: 0.8418 0.1166 0.8298  1 Ti 2.46
S: 0.1612 0.0601 0.0747  1 Ti 2.59
S: 0.8388 0.9399 0.9253  1 Ti 2.59
S: 0.8388 0.9399 0.5747  1 Ti 2.59
S: 0.1605 0.6194 0.5436  1 Ti 2.41
S: 0.4983 0.0884 0.4339  4 La 2.72-2.85
S: 0.9218 0.6129 0.0701  1 Ti 2.46
S: 0.9218 0.8871 0.4299  1 Ti 2.46
S: 0.1582 0.6166 0.3298  1 Ti 2.46
S: 0.3890 0.6198 0.0688  1 Ti 2.45
S: 0.8465 0.5806 0.7500  1 Ti 2.44
S: 0.3342 0.4917 0.6706  2 Ti 2.38-2.55
S: 0.9218 0.8871 0.0701  1 Ti 2.46
S: 0.3197 0.2500 0.3314  2 Ti 2.35-2.51
S: 0.3298 0.2500 0.5117  4 La 2.84-3.15
S: 0.8418 0.3834 0.8298  1 Ti 2.46
S: 0.0016 0.2500 0.1659  2 Ti 2.44-2.53
S: 0.8418 0.3834 0.6702  1 Ti 2.46
S: 0.8395 0.3806 0.4564  1 Ti 2.41
S: 0.6702 0.7500 0.0117  4 La 2.84-3.15
S: 0.8395 0.1194 0.0436  1 Ti 2.41
S: 0.4320 0.6147 0.2500  1 Ti 2.45
S: 0.6110 0.1198 0.9312  1 Ti 2.45
S: 0.1612 0.4399 0.0747  1 Ti 2.59
S: 0.4983 0.4116 0.0661  4 La 2.72-2.85
S: 0.8465 0.9194 0.7500  1 Ti 2.44
S: 0.1535 0.4194 0.2500  1 Ti 2.44
S: 0.1582 0.8834 0.3298  1 Ti 2.46
S: 0.6658 0.5083 0.3294  2 Ti 2.38-2.55
S: 0.5680 0.3853 0.7500  1 Ti 2.45
S: 0.1582 0.6166 0.1702  1 Ti 2.46
S: 0.5680 0.1147 0.7500  1 Ti 2.45
S: 0.3389 0.2500 0.6732  2 Ti 2.43
S: 0.6611 0.7500 0.3268  2 Ti 2.43
S: 0.8388 0.5601 0.9253  1 Ti 2.59
S: 0.1582 0.8834 0.1702  1 Ti 2.46
S: 0.6110 0.1198 0.5688  1 Ti 2.45
S: 0.8388 0.5601 0.5747  1 Ti 2.59
S: 0.4983 0.4116 0.4339  4 La 2.72-2.85
S: 0.1605 0.8806 0.9564  1 Ti 2.41
S: 0.8418 0.1166 0.6702  1 Ti 2.46
S: 0.6613 0.2500 0.1819  4 Ti 2.59-2.68
S: 0.1612 0.4399 0.4253  1 Ti 2.59
Ti: 0.4570 0.2500 0.2500  2 O 1.99
Ti: 0.8411 0.7500 0.7500  6 S 2.44-2.53
Ti: 0.3391 0.5983 0.7500  2 O 1.96-1.97
Ti: 0.8445 0.3814 0.9378  1 O 1.90
Ti: 0.1589 0.2500 0.2500  6 S 2.44-2.53
Ti: 0.8445 0.1186 0.5622  1 O 1.90
Ti: 0.6609 0.4017 0.2500  2 O 1.96-1.97
Ti: 0.1416 0.7500 0.7500  2 O 1.97
Ti: 0.1555 0.6186 0.0622  1 O 1.90
Ti: 0.6609 0.0983 0.2500  2 O 1.96-1.97
Ti: 0.1555 0.8814 0.0622  1 O 1.90
Ti: 0.3353 0.1329 0.7500  6 S 2.42-2.55
Ti: 0.6647 0.6329 0.2500  6 S 2.42-2.55
Ti: 0.3353 0.3671 0.7500  6 S 2.42-2.55
Ti: 0.6647 0.8671 0.2500  6 S 2.42-2.55
Ti: 0.5430 0.7500 0.7500  2 O 1.99
Ti: 0.1555 0.8814 0.4378  1 O 1.90
Ti: 0.8445 0.1186 0.9378  1 O 1.90
Ti: 0.8445 0.3814 0.5622  1 O 1.90
Ti: 0.3391 0.9017 0.7500  2 O 1.96-1.97
Ti: 0.8584 0.2500 0.2500  2 O 1.97
Ti: 0.1555 0.6186 0.4378  1 O 1.90
O: 0.1433 0.7500 0.0642  2 Ti 1.90
O: 0.8478 0.1136 0.2500  2 Ti 1.97
O: 0.4747 0.1127 0.2500  2 Ti 1.96-1.99
O: 0.8567 0.2500 0.5642  2 Ti 1.90
O: 0.1433 0.7500 0.4358  2 Ti 1.90
O: 0.8567 0.2500 0.9358  2 Ti 1.90
O: 0.5253 0.8873 0.7500  2 Ti 1.96-1.99
O: 0.8478 0.3864 0.2500  2 Ti 1.97
O: 0.1522 0.6136 0.7500  2 Ti 1.97
O: 0.5253 0.6127 0.7500  2 Ti 1.96-1.99
O: 0.4747 0.3873 0.2500  2 Ti 1.96-1.99
O: 0.1522 0.8864 0.7500  2 Ti 1.97